Here is an optimized crystal structure of SrTa2Bi2O9 from Materials Project. Energies are from GGA-PBE.

Lattice parameters (Å, degrees): 15.186 15.186 5.701 90.00 90.00 158.76
Sites, in units of the cell vectors:
O: 0.567 0.433 0.269
O: 0.662 0.928 0.019
O: 0.767 0.219 0.736
O: 0.338 0.072 0.519
O: 0.433 0.567 0.269
O: 0.433 0.567 0.769
O: 0.928 0.662 0.019
O: 0.781 0.233 0.236
Ta: 0.821 0.682 0.022
Bi: 0.949 0.543 0.994
Bi: 0.457 0.051 0.494
O: 0.940 0.059 0.270
Bi: 0.051 0.457 0.494
O: 0.219 0.767 0.736
Ta: 0.179 0.318 0.522
O: 0.275 0.275 0.519
O: 0.233 0.781 0.236
O: 0.567 0.433 0.769
O: 0.059 0.940 0.270
Ta: 0.682 0.821 0.022
O: 0.941 0.060 0.770
O: 0.072 0.338 0.519
O: 0.060 0.941 0.770
Bi: 0.543 0.949 0.994
Sr: 0.253 0.253 0.022
Ta: 0.318 0.179 0.522
Sr: 0.747 0.747 0.522
O: 0.725 0.725 0.019

Computed properties:
- Magnetization: 0.03 μB per formula unit
- Formation enthalpy at 0 K: -2.76 eV per atom